(1)
Material: Cu3P
Method: DFT, GGA-PBE
State: optimized geometry

Output
* energy relative to the elements: 0.61 kcal/mol of atoms
* symmetry: No. 165

Unit cell a=6.958 b=6.958 c=7.148 alpha=90.00 beta=90.00 gamma=120.00
Fractional coordinates of all 24 atoms:
Cu: 0.667 0.333 0.827
Cu: 0.615 0.932 0.421
Cu: 0.068 0.385 0.921
Cu: 0.385 0.068 0.579
Cu: 0.000 0.000 0.000
Cu: 0.667 0.333 0.327
Cu: 0.068 0.683 0.421
Cu: 0.333 0.667 0.673
Cu: 0.317 0.385 0.421
Cu: 0.683 0.068 0.079
Cu: 0.317 0.932 0.921
Cu: 0.932 0.615 0.079
Cu: 0.385 0.317 0.079
Cu: 0.615 0.683 0.921
Cu: 0.000 0.000 0.500
Cu: 0.333 0.667 0.173
Cu: 0.932 0.317 0.579
Cu: 0.683 0.615 0.579
P: 0.320 0.320 0.750
P: 0.000 0.680 0.750
P: 0.000 0.320 0.250
P: 0.320 0.000 0.250
P: 0.680 0.680 0.250
P: 0.680 0.000 0.750

(2)
Material: Cu2P7
Method: DFT, GGA-PBE
State: optimized geometry

Output
* energy relative to the elements: -2.33 kcal/mol of atoms
* symmetry: No. 12

Unit cell a=7.329 b=7.329 c=14.688 alpha=74.79 beta=74.79 gamma=59.65
Fractional coordinates of all 36 atoms:
P: 0.776 0.776 0.407
P: 0.472 0.472 0.355
P: 0.041 0.557 0.623
P: 0.557 0.041 0.623
P: 0.235 0.728 0.578
P: 0.173 0.643 0.019
P: 0.827 0.357 0.981
P: 0.560 0.029 0.776
P: 0.224 0.224 0.593
P: 0.462 0.775 0.830
P: 0.443 0.959 0.377
P: 0.775 0.462 0.830
P: 0.895 0.895 0.797
P: 0.272 0.765 0.422
P: 0.643 0.173 0.019
P: 0.357 0.827 0.981
P: 0.440 0.971 0.224
P: 0.029 0.560 0.776
P: 0.538 0.225 0.170
P: 0.347 0.347 0.957
P: 0.765 0.272 0.422
P: 0.225 0.538 0.170
P: 0.528 0.528 0.645
P: 0.105 0.105 0.203
P: 0.971 0.440 0.224
P: 0.653 0.653 0.043
P: 0.959 0.443 0.377
P: 0.728 0.235 0.578
Cu: 0.966 0.966 0.354
Cu: 0.617 0.617 0.206
Cu: 0.843 0.843 0.967
Cu: 0.281 0.281 0.427
Cu: 0.157 0.157 0.033
Cu: 0.034 0.034 0.646
Cu: 0.719 0.719 0.573
Cu: 0.383 0.383 0.794